# HfAu2

Crystalline HfAu2 at its relaxed geometry (PBE, the Materials Project).

Results
As for the symmetry: No. 139.

Cell: 5.087 5.087 5.087 Å, 138.86 138.86 59.58°
Sites, in units of the cell vectors:
Hf (0.000, 0.000, 0.000)
Au (0.333, 0.333, 0.000)
Au (0.667, 0.667, 0.000)

# Hf3Au

Crystalline Hf3Au at its relaxed geometry (PBE, the Materials Project).

Results
As for the symmetry: No. 221.

Cell: 4.351 4.351 4.351 Å, 90.00 90.00 90.00°
Sites, in units of the cell vectors:
Hf (0.000, 0.000, 0.500)
Hf (0.000, 0.500, 0.000)
Hf (0.500, 0.000, 0.000)
Au (0.500, 0.500, 0.500)

# HfAu

Crystalline HfAu at its relaxed geometry (PBE, the Materials Project).

Results
As for the symmetry: No. 129.

Cell: 3.508 3.508 6.390 Å, 90.00 90.00 90.00°
Sites, in units of the cell vectors:
Hf (0.250, 0.250, 0.147)
Hf (0.750, 0.750, 0.853)
Au (0.250, 0.250, 0.629)
Au (0.750, 0.750, 0.371)

# HfAu3

Crystalline HfAu3 at its relaxed geometry (PBE, the Materials Project).

Results
As for the symmetry: No. 59.

Cell: 4.876 6.106 4.969 Å, 90.00 90.00 90.00°
Sites, in units of the cell vectors:
Hf (0.250, 0.250, 0.158)
Hf (0.750, 0.750, 0.842)
Au (0.250, 0.501, 0.661)
Au (0.250, 0.750, 0.153)
Au (0.250, 0.999, 0.661)
Au (0.750, 0.001, 0.339)
Au (0.750, 0.250, 0.847)
Au (0.750, 0.499, 0.339)

# HgAu3

Crystalline HgAu3 at its relaxed geometry (PBE, the Materials Project).

Results
As for the symmetry: No. 194.

Cell: 6.028 6.028 4.864 Å, 90.00 90.00 120.00°
Sites, in units of the cell vectors:
Hg (0.333, 0.667, 0.250)
Hg (0.667, 0.333, 0.750)
Au (0.165, 0.330, 0.750)
Au (0.165, 0.835, 0.750)
Au (0.330, 0.165, 0.250)
Au (0.670, 0.835, 0.750)
Au (0.835, 0.165, 0.250)
Au (0.835, 0.670, 0.250)

# HgAu4

Crystalline HgAu4 at its relaxed geometry (PBE, the Materials Project).

Results
As for the symmetry: No. 166.

Cell: 11.941 11.941 11.941 Å, 14.73 14.73 14.73°
Sites, in units of the cell vectors:
Hg (0.000, 0.000, 0.000)
Au (0.199, 0.199, 0.199)
Au (0.403, 0.403, 0.403)
Au (0.597, 0.597, 0.597)
Au (0.801, 0.801, 0.801)

# Hg3Au

Crystalline Hg3Au at its relaxed geometry (PBE, the Materials Project).

Results
As for the symmetry: No. 221. For the excess energy over the best structure of this formula in the dataset, the calculation gives 35.0 meV/atom.

Cell: 4.514 4.514 4.514 Å, 90.00 90.00 90.00°
Sites, in units of the cell vectors:
Hg (0.000, 0.000, 0.500)
Hg (0.000, 0.500, 0.000)
Hg (0.500, 0.000, 0.000)
Au (0.500, 0.500, 0.500)

# Hg3Au

Crystalline Hg3Au at its relaxed geometry (PBE, the Materials Project).

Results
As for the symmetry: No. 194. For the excess energy over the best structure of this formula in the dataset, the calculation gives 0.0 meV/atom.

Cell: 5.948 5.948 6.237 Å, 90.00 90.00 120.00°
Sites, in units of the cell vectors:
Hg (0.167, 0.335, 0.250)
Hg (0.167, 0.833, 0.250)
Hg (0.335, 0.167, 0.750)
Hg (0.665, 0.833, 0.250)
Hg (0.833, 0.167, 0.750)
Hg (0.833, 0.665, 0.750)
Au (0.333, 0.667, 0.750)
Au (0.667, 0.333, 0.250)

# HgAu3

Crystalline HgAu3 at its relaxed geometry (PBE, the Materials Project).

Results
As for the symmetry: No. 187.

Cell: 3.059 3.059 9.600 Å, 90.00 90.00 120.00°
Sites, in units of the cell vectors:
Hg (0.000, 0.000, 0.000)
Au (0.000, 0.000, 0.500)
Au (0.667, 0.333, 0.259)
Au (0.667, 0.333, 0.741)

# Li2HgAu

Crystalline Li2HgAu at its relaxed geometry (PBE, the Materials Project).

Results
As for the symmetry: No. 225.

Cell: 4.566 4.566 4.566 Å, 60.00 60.00 60.00°
Sites, in units of the cell vectors:
Li (0.250, 0.250, 0.250)
Li (0.750, 0.750, 0.750)
Hg (0.000, 0.000, 0.000)
Au (0.500, 0.500, 0.500)

# Mg4HgAu

Crystalline Mg4HgAu at its relaxed geometry (PBE, the Materials Project).

Results
As for the symmetry: No. 26.

Cell: 4.650 8.742 6.009 Å, 90.00 90.00 90.00°
Sites, in units of the cell vectors:
Mg (0.000, 0.033, 0.000)
Mg (0.000, 0.302, 0.334)
Mg (0.000, 0.698, 0.834)
Mg (0.000, 0.967, 0.500)
Mg (0.500, 0.179, 0.715)
Mg (0.500, 0.460, 0.071)
Mg (0.500, 0.540, 0.571)
Mg (0.500, 0.821, 0.215)
Hg (0.000, 0.367, 0.807)
Hg (0.000, 0.633, 0.307)
Au (0.500, 0.134, 0.248)
Au (0.500, 0.866, 0.748)

# Mg3HgAu2

Crystalline Mg3HgAu2 at its relaxed geometry (PBE, the Materials Project).

Results
As for the symmetry: No. 123.

Cell: 3.422 3.422 9.769 Å, 90.00 90.00 90.00°
Sites, in units of the cell vectors:
Mg (0.000, 0.000, 0.000)
Mg (0.000, 0.000, 0.319)
Mg (0.000, 0.000, 0.681)
Hg (0.500, 0.500, 0.500)
Au (0.500, 0.500, 0.161)
Au (0.500, 0.500, 0.839)

Number 1: calculated formation energy -0.56 eV per atom, DFT total energy -18.2 eV/cell. Number 2: calculated formation energy -0.19 eV per atom, DFT total energy -33.9 eV/cell. Number 3: calculated formation energy -0.54 eV per atom, DFT total energy -28.6 eV/cell. Number 4: calculated formation energy -0.48 eV per atom, DFT total energy -43.4 eV/cell. Number 5: calculated formation energy 0.05 eV per atom, DFT total energy -19.8 eV/cell. Number 6: calculated formation energy 0.06 eV per atom, DFT total energy -13.1 eV/cell. Number 7: calculated formation energy 0.15 eV per atom, DFT total energy -3.6 eV/cell. Number 8: calculated formation energy 0.12 eV per atom, DFT total energy -7.4 eV/cell. Number 9: calculated formation energy 0.08 eV per atom, DFT total energy -9.8 eV/cell. Number 10: calculated formation energy -0.46 eV per atom, DFT total energy -9.2 eV/cell. Number 11: calculated formation energy -0.35 eV per atom, DFT total energy -24.2 eV/cell. Number 12: calculated formation energy -0.48 eV per atom, DFT total energy -14.5 eV/cell.